[1]
Below is a relaxed structure of Na6Ta4Zn2Si6S3O36, with properties calculated at the GGA-PBE level.

a = 9.010 Å, b = 9.010 Å, c = 22.421 Å
α = 90.00°, β = 90.00°, γ = 120.00°
Element x y z (fractional)
O (0.995, 0.203, 0.308)
O (0.208, 0.203, 0.808)
O (0.173, 0.983, 0.911)
O (0.170, 0.702, 0.752)
O (0.467, 0.302, 0.026)
O (0.802, 0.822, 0.200)
O (0.186, 0.025, 0.594)
O (0.489, 0.376, 0.146)
O (0.489, 0.113, 0.646)
O (0.344, 0.849, 0.573)
O (0.811, 0.827, 0.911)
O (0.856, 0.484, 0.422)
O (0.461, 0.144, 0.248)
O (0.624, 0.511, 0.646)
O (0.797, 0.005, 0.808)
O (0.840, 0.025, 0.094)
O (0.137, 0.631, 0.356)
O (0.505, 0.656, 0.573)
O (0.178, 0.979, 0.200)
O (0.298, 0.830, 0.252)
O (0.173, 0.189, 0.411)
O (0.309, 0.475, 0.472)
O (0.167, 0.475, 0.972)
O (0.298, 0.468, 0.752)
O (0.369, 0.505, 0.356)
O (0.525, 0.691, 0.972)
O (0.151, 0.495, 0.573)
O (0.167, 0.691, 0.472)
O (0.151, 0.656, 0.073)
O (0.467, 0.165, 0.526)
O (0.856, 0.318, 0.248)
O (0.887, 0.511, 0.146)
O (0.525, 0.833, 0.472)
O (0.835, 0.302, 0.526)
O (0.344, 0.495, 0.073)
O (0.495, 0.631, 0.856)
O (0.975, 0.814, 0.094)
O (0.811, 0.983, 0.411)
O (0.532, 0.830, 0.752)
O (0.797, 0.792, 0.308)
O (0.309, 0.833, 0.972)
O (0.840, 0.814, 0.594)
O (0.835, 0.533, 0.026)
O (0.505, 0.849, 0.073)
O (0.698, 0.165, 0.026)
O (0.802, 0.979, 0.700)
O (0.178, 0.198, 0.700)
O (0.682, 0.144, 0.748)
O (0.017, 0.827, 0.411)
O (0.995, 0.792, 0.808)
O (0.186, 0.160, 0.094)
O (0.516, 0.371, 0.422)
O (0.624, 0.113, 0.146)
O (0.975, 0.160, 0.594)
O (0.017, 0.189, 0.911)
O (0.208, 0.005, 0.308)
O (0.369, 0.863, 0.856)
O (0.698, 0.533, 0.526)
O (0.516, 0.144, 0.922)
O (0.856, 0.371, 0.922)
O (0.629, 0.144, 0.422)
O (0.495, 0.863, 0.356)
O (0.532, 0.702, 0.252)
O (0.021, 0.822, 0.700)
O (0.887, 0.376, 0.646)
O (0.682, 0.539, 0.248)
O (0.021, 0.198, 0.200)
O (0.461, 0.318, 0.748)
O (0.856, 0.539, 0.748)
O (0.629, 0.484, 0.922)
O (0.170, 0.468, 0.252)
O (0.137, 0.505, 0.856)
S (0.289, 0.997, 0.252)
S (0.707, 0.711, 0.252)
S (0.707, 0.997, 0.752)
S (0.003, 0.711, 0.752)
S (0.289, 0.293, 0.752)
S (0.003, 0.293, 0.252)
Na (0.320, 0.287, 0.916)
Na (0.667, 0.333, 0.823)
Na (0.713, 0.680, 0.416)
Na (0.333, 0.667, 0.661)
Na (0.000, 0.000, 0.494)
Na (0.968, 0.287, 0.416)
Na (0.968, 0.680, 0.916)
Na (0.713, 0.032, 0.916)
Na (0.320, 0.032, 0.416)
Na (0.667, 0.333, 0.323)
Na (0.333, 0.667, 0.161)
Na (0.000, 0.000, 0.994)
Ta (0.333, 0.667, 0.813)
Ta (0.000, 0.000, 0.640)
Ta (0.333, 0.667, 0.522)
Ta (0.000, 0.000, 0.140)
Ta (0.667, 0.333, 0.983)
Ta (0.333, 0.667, 0.022)
Ta (0.667, 0.333, 0.483)
Ta (0.333, 0.667, 0.313)
Si (0.622, 0.663, 0.916)
Si (0.041, 0.378, 0.916)
Si (0.662, 0.620, 0.587)
Si (0.662, 0.042, 0.087)
Si (0.337, 0.959, 0.916)
Si (0.958, 0.338, 0.587)
Si (0.380, 0.338, 0.087)
Si (0.380, 0.042, 0.587)
Si (0.337, 0.378, 0.416)
Si (0.622, 0.959, 0.416)
Si (0.041, 0.663, 0.416)
Si (0.958, 0.620, 0.087)
Zn (0.667, 0.333, 0.669)
Zn (0.667, 0.333, 0.169)
Zn (0.000, 0.000, 0.855)
Zn (0.000, 0.000, 0.355)

Results
- Crystal system: trigonal
- Energy: -7.195 eV/atom
- Energy of formation from the pure elements: -2.70 eV/atom

[2]
Below is a relaxed structure of SrSm2Nb2O9, with properties calculated at the GGA-PBE level.

a = 12.957 Å, b = 12.957 Å, c = 5.663 Å
α = 90.00°, β = 90.00°, γ = 155.01°
Element x y z (fractional)
O (0.745, 0.263, 0.255)
O (0.689, 0.689, 0.917)
O (0.043, 0.914, 0.637)
O (0.737, 0.255, 0.755)
O (0.565, 0.384, 0.685)
O (0.015, 0.705, 0.887)
O (0.255, 0.737, 0.755)
O (0.263, 0.745, 0.255)
O (0.311, 0.311, 0.417)
O (0.086, 0.957, 0.137)
O (0.705, 0.015, 0.887)
O (0.914, 0.043, 0.637)
O (0.384, 0.565, 0.685)
O (0.957, 0.086, 0.137)
O (0.985, 0.295, 0.387)
O (0.616, 0.435, 0.185)
O (0.435, 0.616, 0.185)
O (0.295, 0.985, 0.387)
Sm (0.580, 0.989, 0.514)
Sm (0.011, 0.420, 0.014)
Sm (0.989, 0.580, 0.514)
Sm (0.420, 0.011, 0.014)
Nb (0.670, 0.838, 0.890)
Nb (0.162, 0.330, 0.390)
Nb (0.330, 0.162, 0.390)
Nb (0.838, 0.670, 0.890)
Sr (0.752, 0.752, 0.375)
Sr (0.248, 0.248, 0.875)

Results
- Crystal system: orthorhombic
- Energy: -8.413 eV/atom
- Energy of formation from the pure elements: -3.44 eV/atom

[3]
Below is a relaxed structure of LiLa5Ti8O24, with properties calculated at the GGA-PBE level.

a = 5.508 Å, b = 9.572 Å, c = 9.604 Å
α = 109.86°, β = 90.41°, γ = 90.07°
Element x y z (fractional)
O (0.001, 0.139, 0.361)
O (0.714, 0.358, 0.352)
O (0.488, 0.878, 0.115)
O (0.003, 0.101, 0.896)
O (0.715, 0.855, 0.856)
O (0.494, 0.114, 0.881)
O (0.290, 0.643, 0.642)
O (0.000, 0.897, 0.102)
O (0.493, 0.888, 0.620)
O (0.222, 0.361, 0.863)
O (0.223, 0.845, 0.345)
O (0.006, 0.870, 0.639)
O (0.484, 0.397, 0.120)
O (0.000, 0.401, 0.599)
O (0.505, 0.387, 0.613)
O (0.481, 0.621, 0.895)
O (0.998, 0.603, 0.399)
O (0.488, 0.615, 0.378)
O (0.813, 0.137, 0.640)
O (0.006, 0.635, 0.872)
O (0.007, 0.373, 0.137)
O (0.499, 0.122, 0.384)
O (0.790, 0.638, 0.137)
O (0.292, 0.143, 0.141)
Ti (0.749, 0.503, 0.252)
Ti (0.255, 0.997, 0.266)
Ti (0.246, 0.761, 0.501)
Ti (0.248, 0.251, 0.998)
Ti (0.754, 0.745, 0.004)
Ti (0.254, 0.482, 0.749)
Ti (0.756, 0.237, 0.511)
Ti (0.736, 0.006, 0.744)
Li (0.174, 0.112, 0.696)
La (0.749, 0.123, 0.131)
La (0.255, 0.619, 0.120)
La (0.253, 0.869, 0.874)
La (0.747, 0.626, 0.626)
La (0.258, 0.371, 0.376)

Results
- Distance to the lowest polymorph of the same formula: 12 meV per atom
- Crystal system: triclinic
- Energy: -8.679 eV/atom
- Energy of formation from the pure elements: -3.63 eV/atom

[4]
Below is a relaxed structure of DyH3O3, with properties calculated at the GGA-PBE level.

a = 6.358 Å, b = 6.358 Å, c = 3.544 Å
α = 90.00°, β = 90.00°, γ = 120.00°
Element x y z (fractional)
H (0.859, 0.720, 0.250)
H (0.280, 0.140, 0.250)
H (0.141, 0.280, 0.750)
H (0.860, 0.141, 0.250)
H (0.140, 0.859, 0.750)
H (0.720, 0.860, 0.750)
O (0.085, 0.398, 0.750)
O (0.313, 0.915, 0.750)
O (0.602, 0.687, 0.750)
O (0.687, 0.085, 0.250)
O (0.915, 0.602, 0.250)
O (0.398, 0.313, 0.250)
Dy (0.667, 0.333, 0.750)
Dy (0.333, 0.667, 0.250)

Results
- Crystal system: hexagonal
- Energy: -6.185 eV/atom
- Energy of formation from the pure elements: -2.25 eV/atom

[5]
Below is a relaxed structure of ErGaPd, with properties calculated at the GGA-PBE level.

a = 4.458 Å, b = 6.880 Å, c = 7.643 Å
α = 90.00°, β = 90.00°, γ = 90.00°
Element x y z (fractional)
Er (0.250, 0.985, 0.301)
Er (0.750, 0.515, 0.801)
Er (0.250, 0.485, 0.199)
Er (0.750, 0.015, 0.699)
Pd (0.250, 0.721, 0.595)
Pd (0.250, 0.221, 0.905)
Pd (0.750, 0.779, 0.095)
Pd (0.750, 0.279, 0.405)
Ga (0.750, 0.178, 0.076)
Ga (0.250, 0.322, 0.576)
Ga (0.750, 0.678, 0.424)
Ga (0.250, 0.822, 0.924)

Results
- Crystal system: orthorhombic
- Energy: -5.158 eV/atom
- Energy of formation from the pure elements: -0.90 eV/atom

[6]
Below is a relaxed structure of LuTa3O9, with properties calculated at the GGA-PBE level.

a = 6.436 Å, b = 7.621 Å, c = 12.611 Å
α = 90.00°, β = 90.00°, γ = 90.00°
Element x y z (fractional)
O (0.984, 0.542, 0.157)
O (0.795, 0.459, 0.464)
O (0.016, 0.042, 0.843)
O (0.205, 0.959, 0.536)
O (0.706, 0.750, 0.803)
O (0.705, 0.541, 0.964)
O (0.516, 0.458, 0.657)
O (0.484, 0.542, 0.343)
O (0.335, 0.750, 0.170)
O (0.898, 0.539, 0.667)
O (0.102, 0.039, 0.333)
O (0.588, 0.750, 0.525)
O (0.602, 0.039, 0.167)
O (0.795, 0.041, 0.464)
O (0.912, 0.250, 0.025)
O (0.516, 0.042, 0.657)
O (0.016, 0.458, 0.843)
O (0.165, 0.250, 0.670)
O (0.088, 0.750, 0.975)
O (0.295, 0.459, 0.036)
O (0.206, 0.750, 0.697)
O (0.398, 0.539, 0.833)
O (0.412, 0.250, 0.475)
O (0.984, 0.958, 0.157)
O (0.102, 0.461, 0.333)
O (0.665, 0.250, 0.830)
O (0.898, 0.961, 0.667)
O (0.295, 0.041, 0.036)
O (0.398, 0.961, 0.833)
O (0.205, 0.541, 0.536)
O (0.794, 0.250, 0.303)
O (0.484, 0.958, 0.343)
O (0.602, 0.461, 0.167)
O (0.705, 0.959, 0.964)
O (0.294, 0.250, 0.197)
O (0.835, 0.750, 0.330)
Lu (0.055, 0.250, 0.459)
Lu (0.445, 0.750, 0.959)
Lu (0.945, 0.750, 0.541)
Lu (0.555, 0.250, 0.041)
Ta (0.295, 0.503, 0.213)
Ta (0.795, 0.997, 0.287)
Ta (0.500, 0.000, 0.500)
Ta (0.795, 0.503, 0.287)
Ta (0.705, 0.003, 0.787)
Ta (0.205, 0.003, 0.713)
Ta (0.295, 0.997, 0.213)
Ta (0.205, 0.497, 0.713)
Ta (0.000, 0.000, 0.000)
Ta (0.500, 0.500, 0.500)
Ta (0.000, 0.500, 0.000)
Ta (0.705, 0.497, 0.787)

Results
- Distance to the lowest polymorph of the same formula: 29 meV per atom
- Crystal system: orthorhombic
- Energy: -9.521 eV/atom
- Energy of formation from the pure elements: -3.49 eV/atom